Below is La2S2O after structural relaxation, with properties calculated at the r2SCAN level.

Lattice parameters (Å, degrees): 8.705 7.332 7.194 90.00 98.05 90.00
Element x y z (fractional)
1 La 0.083 0.130 0.310
2 La 0.083 0.370 0.810
3 La 0.360 0.556 0.247
4 La 0.360 0.944 0.747
5 La 0.640 0.056 0.253
6 La 0.640 0.444 0.753
7 La 0.917 0.630 0.190
8 La 0.917 0.870 0.690
9 S 0.171 0.653 0.553
10 S 0.171 0.847 0.053
11 S 0.421 0.227 0.473
12 S 0.421 0.273 0.973
13 S 0.579 0.727 0.027
14 S 0.579 0.773 0.527
15 S 0.829 0.153 0.947
16 S 0.829 0.347 0.447
17 O 0.117 0.088 0.650
18 O 0.117 0.412 0.150
19 O 0.883 0.588 0.850
20 O 0.883 0.912 0.350

formation enthalpy at 0 K = -3.01 eV/atom
energy = -19.313 eV per atom
excess energy over the best structure of this formula in the dataset = 0 meV per atom